No. 1
First-principles (PBE) data for an optimized crystal structure of Dy6Al43Mo4, as listed in the Materials Project database.

Properties
Space-group type: P6_3/mcm, No. 193
Magnetization: 0.267 μB per cell
E_tot: -4.6974 eV per atom
Calculated volume: 17.6 Å³ per atom

POSCAR file:
```
Dy6Al43Mo4
1.0
5.531 -9.580 0.000
5.531 9.580 0.000
0.000 0.000 17.602
Al Dy Mo
86 12 8
direct
0.596 0.449 0.250 Al
0.247 0.494 0.500 Al
0.254 0.254 0.469 Al
0.247 0.753 0.000 Al
0.000 0.159 0.385 Al
0.606 0.764 0.664 Al
0.236 0.842 0.664 Al
0.449 0.853 0.750 Al
0.394 0.158 0.836 Al
0.000 0.841 0.615 Al
0.247 0.753 0.500 Al
0.158 0.764 0.336 Al
0.506 0.753 0.000 Al
0.764 0.606 0.836 Al
0.853 0.404 0.250 Al
0.333 0.667 0.874 Al
0.000 0.853 0.250 Al
0.158 0.764 0.164 Al
0.394 0.236 0.336 Al
0.158 0.394 0.664 Al
0.000 0.841 0.885 Al
0.842 0.236 0.664 Al
0.551 0.147 0.250 Al
0.000 0.746 0.031 Al
0.842 0.606 0.164 Al
0.000 0.159 0.115 Al
0.147 0.551 0.250 Al
0.841 0.841 0.385 Al
0.147 0.596 0.750 Al
0.333 0.667 0.626 Al
0.667 0.333 0.126 Al
0.494 0.247 0.000 Al
0.841 0.000 0.885 Al
0.753 0.506 0.000 Al
0.764 0.606 0.664 Al
0.000 0.254 0.969 Al
0.394 0.158 0.664 Al
0.254 0.000 0.531 Al
0.853 0.853 0.750 Al
0.841 0.000 0.615 Al
0.333 0.667 0.126 Al
0.506 0.753 0.500 Al
0.667 0.333 0.626 Al
0.841 0.841 0.115 Al
0.394 0.236 0.164 Al
0.606 0.842 0.336 Al
0.494 0.247 0.500 Al
0.606 0.842 0.164 Al
0.746 0.746 0.969 Al
0.333 0.667 0.374 Al
0.753 0.247 0.500 Al
0.853 0.000 0.250 Al
0.606 0.764 0.836 Al
0.746 0.000 0.031 Al
0.236 0.842 0.836 Al
0.449 0.596 0.250 Al
0.000 0.746 0.469 Al
0.236 0.394 0.336 Al
0.147 0.147 0.250 Al
0.764 0.158 0.336 Al
0.158 0.394 0.836 Al
0.853 0.449 0.750 Al
0.236 0.394 0.164 Al
0.753 0.506 0.500 Al
0.159 0.159 0.615 Al
0.746 0.746 0.531 Al
0.667 0.333 0.374 Al
0.000 0.254 0.531 Al
0.147 0.000 0.750 Al
0.159 0.000 0.115 Al
0.764 0.158 0.164 Al
0.842 0.606 0.336 Al
0.247 0.494 0.000 Al
0.159 0.000 0.385 Al
0.746 0.000 0.469 Al
0.254 0.000 0.969 Al
0.159 0.159 0.885 Al
0.842 0.236 0.836 Al
0.753 0.247 0.000 Al
0.254 0.254 0.031 Al
0.551 0.404 0.750 Al
0.404 0.853 0.250 Al
0.404 0.551 0.750 Al
0.667 0.333 0.874 Al
0.000 0.147 0.750 Al
0.596 0.147 0.750 Al
0.469 0.469 0.595 Dy
0.469 0.000 0.095 Dy
0.531 0.531 0.405 Dy
0.000 0.469 0.095 Dy
0.469 0.469 0.905 Dy
0.000 0.531 0.595 Dy
0.531 0.000 0.595 Dy
0.000 0.469 0.405 Dy
0.000 0.531 0.905 Dy
0.531 0.000 0.905 Dy
0.531 0.531 0.095 Dy
0.469 0.000 0.405 Dy
0.729 0.729 0.250 Mo
0.271 0.000 0.250 Mo
0.000 0.729 0.750 Mo
0.271 0.271 0.750 Mo
0.000 0.000 0.000 Mo
0.000 0.000 0.500 Mo
0.000 0.271 0.250 Mo
0.729 0.000 0.750 Mo
```


No. 2
First-principles (PBE) data for an optimized crystal structure of ReO2F3, as listed in the Materials Project database.

Properties
Space-group type: P2_1/c, No. 14
Magnetization: 0.001 μB per cell
E_tot: -6.6148 eV per atom
Calculated volume: 15.8 Å³ per atom

POSCAR file:
```
ReO2F3
1.0
-4.080 7.811 5.131
-4.833 -6.067 5.393
11.212 -1.382 11.019
O F Re
32 48 16
direct
0.598 0.960 0.670 O
0.909 0.363 0.016 O
0.591 0.585 0.194 O
0.879 0.073 0.538 O
0.287 0.388 0.973 O
0.316 0.153 0.490 O
0.121 0.927 0.462 O
0.816 0.347 0.510 O
0.409 0.137 0.984 O
0.621 0.573 0.538 O
0.233 0.144 0.830 O
0.091 0.915 0.806 O
0.402 0.040 0.330 O
0.267 0.644 0.830 O
0.761 0.694 0.683 O
0.409 0.415 0.806 O
0.591 0.863 0.016 O
0.902 0.460 0.670 O
0.379 0.427 0.462 O
0.239 0.306 0.317 O
0.767 0.856 0.170 O
0.909 0.085 0.194 O
0.213 0.888 0.973 O
0.261 0.806 0.317 O
0.184 0.653 0.490 O
0.733 0.356 0.170 O
0.739 0.194 0.683 O
0.787 0.112 0.027 O
0.713 0.612 0.027 O
0.098 0.540 0.330 O
0.684 0.847 0.510 O
0.091 0.637 0.984 O
0.828 0.836 0.939 F
0.160 0.350 0.552 F
0.260 0.370 0.145 F
0.146 0.959 0.632 F
0.625 0.888 0.843 F
0.335 0.937 0.741 F
0.708 0.815 0.338 F
0.760 0.130 0.855 F
0.832 0.944 0.752 F
0.854 0.041 0.368 F
0.531 0.137 0.789 F
0.168 0.056 0.248 F
0.328 0.664 0.061 F
0.455 0.660 0.708 F
0.510 0.665 0.916 F
0.172 0.164 0.061 F
0.045 0.160 0.708 F
0.469 0.863 0.211 F
0.994 0.762 0.586 F
0.545 0.340 0.292 F
0.506 0.262 0.586 F
0.006 0.238 0.414 F
0.969 0.637 0.789 F
0.031 0.363 0.211 F
0.125 0.612 0.157 F
0.660 0.150 0.448 F
0.292 0.185 0.662 F
0.990 0.165 0.916 F
0.240 0.870 0.145 F
0.672 0.336 0.939 F
0.840 0.650 0.448 F
0.646 0.541 0.368 F
0.955 0.840 0.292 F
0.668 0.444 0.752 F
0.165 0.437 0.741 F
0.665 0.063 0.259 F
0.208 0.685 0.662 F
0.354 0.459 0.632 F
0.494 0.738 0.414 F
0.490 0.335 0.084 F
0.875 0.388 0.843 F
0.332 0.556 0.248 F
0.375 0.112 0.157 F
0.740 0.630 0.855 F
0.792 0.315 0.338 F
0.010 0.835 0.084 F
0.835 0.563 0.259 F
0.340 0.850 0.552 F
0.164 0.753 0.045 Re
0.323 0.949 0.257 Re
0.682 0.456 0.248 Re
0.318 0.544 0.752 Re
0.837 0.198 0.457 Re
0.663 0.698 0.457 Re
0.664 0.747 0.955 Re
0.836 0.247 0.955 Re
0.818 0.956 0.248 Re
0.177 0.449 0.257 Re
0.677 0.051 0.743 Re
0.823 0.551 0.743 Re
0.337 0.302 0.543 Re
0.336 0.253 0.045 Re
0.163 0.802 0.543 Re
0.182 0.044 0.752 Re
```


No. 3
First-principles (PBE) data for an optimized crystal structure of LuInNi, as listed in the Materials Project database.

Properties
Space-group type: P-62m, No. 189
E_tot: -4.8497 eV per atom
Calculated volume: 19.4 Å³ per atom

POSCAR file:
```
LuInNi
1.0
3.705 -6.417 0.000
3.705 6.417 0.000
0.000 0.000 3.676
In Ni Lu
3 3 3
direct
0.000 0.257 0.500 In
0.743 0.743 0.500 In
0.257 0.000 0.500 In
0.667 0.333 0.500 Ni
0.000 0.000 0.000 Ni
0.333 0.667 0.500 Ni
0.000 0.590 0.000 Lu
0.410 0.410 0.000 Lu
0.590 0.000 0.000 Lu
```


No. 4
First-principles (PBE) data for an optimized crystal structure of CuTeO3, as listed in the Materials Project database.

Properties
Space-group type: Pnma, No. 62
Magnetization: 0.000 μB per cell
E_tot: -5.2344 eV per atom
Calculated volume: 14.9 Å³ per atom

POSCAR file:
```
CuTeO3
1.0
6.017 0.000 0.000
0.000 7.678 0.000
0.000 0.000 12.883
Cu O Te
8 24 8
direct
0.150 0.545 0.595 Cu
0.650 0.045 0.905 Cu
0.650 0.455 0.905 Cu
0.850 0.045 0.405 Cu
0.350 0.955 0.095 Cu
0.850 0.455 0.405 Cu
0.150 0.955 0.595 Cu
0.350 0.545 0.095 Cu
0.097 0.453 0.168 O
0.557 0.250 0.490 O
0.076 0.750 0.681 O
0.903 0.547 0.832 O
0.403 0.047 0.668 O
0.924 0.250 0.319 O
0.443 0.750 0.510 O
0.424 0.750 0.181 O
0.654 0.569 0.042 O
0.943 0.250 0.990 O
0.346 0.431 0.958 O
0.597 0.547 0.332 O
0.903 0.953 0.832 O
0.654 0.931 0.042 O
0.846 0.569 0.542 O
0.576 0.250 0.819 O
0.154 0.069 0.458 O
0.597 0.953 0.332 O
0.346 0.069 0.958 O
0.057 0.750 0.010 O
0.154 0.431 0.458 O
0.403 0.453 0.668 O
0.846 0.931 0.542 O
0.097 0.047 0.168 O
0.821 0.750 0.111 Te
0.414 0.750 0.344 Te
0.914 0.250 0.156 Te
0.586 0.250 0.656 Te
0.321 0.250 0.389 Te
0.679 0.750 0.611 Te
0.179 0.250 0.889 Te
0.086 0.750 0.844 Te
```


No. 5
First-principles (PBE) data for an optimized crystal structure of Tb2SiSeO4, as listed in the Materials Project database.

Properties
Space-group type: Pbcm, No. 57
Magnetization: 0.000 μB per cell
E_tot: -7.7552 eV per atom
Calculated volume: 14.5 Å³ per atom

POSCAR file:
```
Tb2SiSeO4
1.0
6.089 0.000 0.000
0.000 7.019 0.000
0.000 0.000 10.889
O Si Tb Se
16 4 8 4
direct
0.723 0.931 0.968 O
0.723 0.569 0.468 O
0.277 0.069 0.032 O
0.051 0.761 0.120 O
0.051 0.761 0.380 O
0.949 0.261 0.120 O
0.277 0.431 0.968 O
0.949 0.239 0.620 O
0.051 0.739 0.880 O
0.949 0.261 0.380 O
0.949 0.239 0.880 O
0.277 0.069 0.468 O
0.051 0.739 0.620 O
0.723 0.569 0.032 O
0.723 0.931 0.532 O
0.277 0.431 0.532 O
0.885 0.750 0.500 Si
0.885 0.750 0.000 Si
0.115 0.250 0.500 Si
0.115 0.250 0.000 Si
0.867 0.970 0.750 Tb
0.867 0.530 0.250 Tb
0.610 0.250 0.500 Tb
0.133 0.030 0.250 Tb
0.133 0.470 0.750 Tb
0.390 0.750 0.500 Tb
0.390 0.750 0.000 Tb
0.610 0.250 0.000 Tb
0.429 0.129 0.750 Se
0.429 0.371 0.250 Se
0.571 0.871 0.250 Se
0.571 0.629 0.750 Se
```


No. 6
First-principles (PBE) data for an optimized crystal structure of Na3LaYP3O12, as listed in the Materials Project database.

Properties
Space-group type: P1, No. 1
Magnetization: 0.000 μB per cell
E_tot: -7.2113 eV per atom
Calculated volume: 15.3 Å³ per atom

POSCAR file:
```
Na3LaYP3O12
1.0
13.672 0.026 -9.235
0.012 9.441 -0.008
-0.147 -0.009 9.609
O Na P La Y
48 12 12 4 4
direct
0.168 0.630 0.418 O
0.159 0.358 0.916 O
0.742 0.161 0.246 O
0.272 0.830 0.766 O
0.860 0.651 0.110 O
0.241 0.340 0.753 O
0.442 0.461 0.079 O
0.956 0.637 0.429 O
0.933 0.959 0.083 O
0.554 0.152 0.095 O
0.069 0.844 0.752 O
0.356 0.850 0.615 O
0.053 0.345 0.594 O
0.773 0.668 0.258 O
0.851 0.567 0.751 O
0.916 0.858 0.749 O
0.774 0.330 0.757 O
0.935 0.039 0.582 O
0.154 0.426 0.241 O
0.662 0.934 0.250 O
0.455 0.866 0.933 O
0.915 0.151 0.242 O
0.666 0.070 0.755 O
0.666 0.138 0.417 O
0.543 0.531 0.899 O
0.064 0.163 0.231 O
0.558 0.855 0.596 O
0.744 0.841 0.746 O
0.048 0.047 0.901 O
0.860 0.351 0.606 O
0.405 0.648 0.219 O
0.361 0.163 0.113 O
0.410 0.344 0.739 O
0.235 0.649 0.231 O
0.344 0.069 0.750 O
0.435 0.526 0.581 O
0.568 0.329 0.755 O
0.668 0.864 0.918 O
0.959 0.358 0.925 O
0.342 0.939 0.231 O
0.050 0.649 0.097 O
0.264 0.172 0.243 O
0.053 0.971 0.401 O
0.449 0.139 0.428 O
0.849 0.431 0.247 O
0.541 0.469 0.399 O
0.569 0.663 0.252 O
0.157 0.564 0.752 O
0.505 0.087 0.751 Na
0.243 0.231 0.500 Na
0.817 0.080 0.697 Na
0.747 0.265 0.005 Na
0.502 0.922 0.239 Na
0.001 0.411 0.240 Na
0.244 0.767 0.997 Na
0.005 0.581 0.750 Na
0.747 0.732 0.505 Na
0.316 0.575 0.700 Na
0.816 0.922 0.193 Na
0.310 0.423 0.184 Na
0.858 0.596 0.260 P
0.352 0.102 0.254 P
0.491 0.560 0.236 P
0.860 0.402 0.760 P
0.355 0.905 0.766 P
0.491 0.433 0.743 P
0.152 0.591 0.245 P
0.994 0.947 0.746 P
0.153 0.399 0.752 P
0.659 0.905 0.753 P
0.993 0.060 0.238 P
0.656 0.099 0.250 P
0.104 0.765 0.552 La
0.602 0.265 0.551 La
0.398 0.748 0.443 La
0.604 0.735 0.052 La
0.899 0.751 0.945 Y
0.900 0.248 0.445 Y
0.103 0.239 0.052 Y
0.399 0.251 0.946 Y
```


No. 7
First-principles (PBE) data for an optimized crystal structure of GeO2, as listed in the Materials Project database.

Properties
Space-group type: P3_221, No. 154
E_tot: -6.4587 eV per atom
Calculated volume: 14.3 Å³ per atom
Piezoelectric modulus e_max: 0.3 C/m2

POSCAR file:
```
GeO2
1.0
2.542 -4.403 0.000
2.542 4.403 0.000
0.000 0.000 5.760
Ge O
3 6
direct
0.455 0.000 0.667 Ge
0.545 0.545 0.000 Ge
0.000 0.455 0.333 Ge
0.901 0.602 0.092 O
0.099 0.701 0.575 O
0.701 0.099 0.425 O
0.299 0.398 0.242 O
0.602 0.901 0.908 O
0.398 0.299 0.758 O
```


No. 8
First-principles (PBE) data for an optimized crystal structure of LiTiPd2, as listed in the Materials Project database.

Properties
Space-group type: Fm-3m, No. 225
E_tot: -5.5752 eV per atom
Calculated volume: 14.7 Å³ per atom

POSCAR file:
```
LiTiPd2
1.0
-1.145 -0.847 4.123
-1.756 3.141 2.465
-4.217 -0.190 1.097
Pd Li Ti
2 1 1
direct
0.250 0.250 0.250 Pd
0.750 0.750 0.750 Pd
0.500 0.500 0.500 Li
0.000 0.000 0.000 Ti
```


Number 1: calculated formation energy -0.32 eV/atom. Number 2: calculated formation energy -2.39 eV/atom. Number 3: calculated formation energy -0.50 eV/atom. Number 4: calculated formation energy -1.23 eV/atom. Number 5: calculated formation energy -3.35 eV/atom. Number 6: calculated formation energy -3.07 eV/atom. Number 7: calculated formation energy -2.08 eV/atom. Number 8: calculated formation energy -0.53 eV/atom.